The following is a PBE-GGA calculation of a relaxed structure of EuAg3, from the Materials Project database.

abc: 5.013 5.013 7.452
angles: 90.00 90.00 90.00
Space group I4/mmm (No. 139)
One atom of each set of equivalent atoms:
Eu1 0.000 0.000 0.000 x2
Ag1 0.000 0.000 0.500 x2
Ag2 0.000 0.500 0.250 x4

The calculation puts the formation energy at -0.152 eV per atom. The calculated total energy comes out at -4.840 eV/atom.

=====

The following is a PBE-GGA calculation of a relaxed structure of TbTlAg2, from the Materials Project database.

abc: 7.090 7.090 7.090
angles: 90.00 90.00 90.00
Space group Fm-3m (No. 225)
One atom of each set of equivalent atoms:
Tb1 0.000 0.000 0.000 x4
Tl1 0.000 0.000 0.500 x4
Ag1 0.250 0.250 0.250 x8

The calculation puts the formation energy at -0.243 eV per atom. The calculated total energy comes out at -3.409 eV/atom.

=====

The following is a PBE-GGA calculation of a relaxed structure of Ti2ZnSnO6, from the Materials Project database.

abc: 7.628 7.628 7.748
angles: 90.00 90.00 90.00
Space group P4_2/nmc (No. 137, origin choice 2)
One atom of each set of equivalent atoms:
Ti1 0.000 0.000 0.000 x8
Zn1 0.250 0.750 0.250 x2
Zn2 0.250 0.750 0.750 x2
Sn1 0.250 0.250 0.228 x4
O1 0.050 0.750 0.431 x8
O2 0.051 0.250 0.964 x8
O3 0.056 0.556 0.750 x8

Its energy with MP2020 corrections is -7.728 eV per atom. The calculation puts the formation energy at -2.653 eV per atom. The calculated total energy comes out at -7.316 eV/atom.

=====

The following is a PBE-GGA calculation of a relaxed structure of CuPtN4Cl4, from the Materials Project database.

abc: 9.183 9.183 4.931
angles: 90.00 90.00 90.00
Space group P4/mnc (No. 128)
One atom of each set of equivalent atoms:
Cu1 0.000 0.000 0.000 x2
Pt1 0.000 0.000 0.500 x2
N1 0.003 0.210 0.000 x8
Cl1 0.000 0.252 0.500 x8

Its energy with MP2020 corrections is -3.729 eV per atom. The calculation puts the formation energy at 1.363 eV per atom. The calculated total energy comes out at -3.483 eV/atom.

=====

The following is a PBE-GGA calculation of a relaxed structure of LiBiP2O7, from the Materials Project database.

abc: 7.312 8.824 9.971
angles: 90.00 109.42 90.00
Space group P2_1/c (No. 14)
One atom of each set of equivalent atoms:
Li1 0.211 0.069 0.226 x4
Bi1 0.250 0.501 0.258 x4
P1 0.150 0.717 0.939 x4
P2 0.408 0.247 0.034 x4
O1 0.049 0.634 0.378 x4
O2 0.060 0.578 0.847 x4
O3 0.185 0.700 0.098 x4
O4 0.333 0.244 0.870 x4
O5 0.336 0.111 0.587 x4
O6 0.357 0.731 0.912 x4
O7 0.383 0.097 0.103 x4

Its energy with MP2020 corrections is -7.171 eV per atom. The calculation puts the formation energy at -2.511 eV per atom. The calculated total energy comes out at -6.733 eV/atom.

=====

The following is a PBE-GGA calculation of a relaxed structure of CeSe2, from the Materials Project database.

abc: 14.830 12.980 14.835
angles: 90.00 90.59 90.00
Space group P2_1/c (No. 14)
One atom of each set of equivalent atoms:
Ce1 0.095 0.149 0.088 x4
Ce2 0.158 0.598 0.843 x4
Ce3 0.335 0.626 0.148 x4
Ce4 0.396 0.134 0.906 x4
Se1 0.000 0.000 0.000 x2
Se2 0.001 0.171 0.592 x4
Se3 0.129 0.087 0.260 x4
Se4 0.223 0.729 0.716 x4
Se5 0.253 0.193 0.006 x4
Se6 0.282 0.575 0.978 x4
Se7 0.332 0.046 0.752 x4
Se8 0.493 0.196 0.362 x4
Se9 0.500 0.000 0.000 x2

Its energy with MP2020 corrections is -5.711 eV per atom. The calculation puts the formation energy at -1.403 eV per atom. The calculated total energy comes out at -5.396 eV/atom.

=====

The following is a PBE-GGA calculation of a relaxed structure of NaSrP, from the Materials Project database.

abc: 7.7067 7.7067 4.4981
angles: 90.00 90.00 120.00
Space group P-62m (No. 189)
One atom of each set of equivalent atoms:
Na1 0.0000 0.2421 0.0000 x3
Sr1 0.0000 0.5862 0.5000 x3
P1 0.0000 0.0000 0.5000 x1
P2 0.3333 0.6667 0.0000 x2

The value obtained for the maximum piezoelectric response is 0.27 C/m2. The calculation puts the formation energy at -0.796 eV per atom. The calculated total energy comes out at -3.605 eV/atom.

=====

Among the records above, which one has the lowest calculated total energy? Ti2ZnSnO6